Crystalline CeNdAl4 at its relaxed geometry. Source: the Materials Project database, functional PBE.

a b c (Å): 5.635 5.635 5.635
angles (deg): 60.00 60.00 60.00
Sites, in units of the cell vectors:
Al 0.624 0.127 0.624
Al 0.624 0.624 0.127
Al 0.624 0.624 0.624
Al 0.127 0.624 0.624
Nd 0.000 0.000 0.000
Ce 0.250 0.250 0.250

## Properties
Its formation energy is -0.46 eV per atom. As for the total moment: 0.6 μB per formula unit. For the volume, the calculation gives 21.09 A^3/atom.